## i
Material: LiAl2H4Pb2O4F6
Method: DFT, PBE
State: relaxed

Geometry as POSCAR:
```
LiAl2H4Pb2O4F6
1.0
4.9555 0.0000 0.0000
-0.8552 7.3120 0.0000
-1.0662 -2.9340 6.6779
Li Al H Pb O F
1 2 4 2 4 6
direct
0.0000 0.0000 0.0000
0.3448 0.3162 0.3317
0.6552 0.6838 0.6683
0.1801 0.4950 0.6594
0.2506 0.8459 0.6256
0.7494 0.1541 0.3744
0.8199 0.5050 0.3406
0.4029 0.7690 0.2412
0.5971 0.2310 0.7588
0.3541 0.4694 0.6106
0.4374 0.8525 0.5918
0.5626 0.1475 0.4082
0.6459 0.5306 0.3894
0.0384 0.1284 0.2903
0.1069 0.4627 0.2555
0.3563 0.1820 0.0698
0.6437 0.8180 0.9302
0.8931 0.5373 0.7445
0.9616 0.8716 0.7097
```

## ii
Material: LiAl2H4Pb2O4F6
Method: DFT, PBE
State: relaxed

Geometry as POSCAR:
```
LiAl2H4Pb2O4F6
1.0
5.3018 0.0000 0.0000
-1.6378 6.2372 0.0000
-0.6655 -2.2902 6.7946
Li Al H Pb O F
1 2 4 2 4 6
direct
0.0000 0.0000 0.0000
0.1373 0.6308 0.2672
0.4399 0.9696 0.6549
0.0720 0.0073 0.4210
0.5451 0.6109 0.4595
0.5661 0.6526 0.1129
0.9839 0.8393 0.6725
0.1335 0.4883 0.7804
0.5838 0.1168 0.2170
0.1433 0.8711 0.7686
0.2243 0.9465 0.4170
0.3804 0.6446 0.4918
0.3996 0.6936 0.1083
0.0555 0.3337 0.1149
0.4653 0.2680 0.7655
0.6449 0.9437 0.8609
0.7434 0.0532 0.5595
0.8574 0.5578 0.3936
0.9193 0.6852 0.0779
```

## iii
Material: LiAl2H4Pb2O4F6
Method: DFT, PBE
State: relaxed

Geometry as POSCAR:
```
LiAl2H4Pb2O4F6
1.0
4.9677 0.0000 0.0000
2.4738 6.6120 0.0000
0.3629 2.3141 7.1437
Li Al H Pb O F
1 2 4 2 4 6
direct
0.0000 0.0000 0.0000
0.6512 0.7385 0.0287
0.6642 0.3579 0.3420
0.0085 0.3919 0.5496
0.0919 0.3963 0.1571
0.2175 0.6932 0.2323
0.2684 0.7597 0.8251
0.4987 0.3531 0.8137
0.5831 0.8469 0.4758
0.4268 0.6571 0.2405
0.4805 0.6980 0.8316
0.7980 0.4522 0.5255
0.8799 0.4545 0.1413
0.3662 0.0057 0.9720
0.4091 0.2838 0.5132
0.4646 0.2892 0.1823
0.8410 0.8273 0.1895
0.8988 0.8321 0.8655
0.9221 0.0851 0.4208
```

The most stable arrangement is i, and the next structure is 0.019 eV/atom less stable.